The following is a DFT calculation (PBE) of crystalline MnFe3P2 at its relaxed geometry.

a b c (Å): 3.386 5.900 10.253
angles (deg): 89.85 90.00 90.00
Sites, in units of the cell vectors:
Mn  0.500  0.909  0.502
Fe  0.500  0.297  0.704
Fe  0.000  0.626  0.374
Mn  0.500  0.408  0.999
Fe  0.500  0.796  0.795
Fe  0.000  0.128  0.872
Fe  0.500  0.295  0.297
Fe  0.000  0.127  0.127
P  0.000  0.502  0.167
P  0.000  0.002  0.668
P  0.000  0.002  0.336
P  0.500  0.494  0.501
Mn  0.500  0.797  0.205
P  0.500  0.995  0.994
Fe  0.000  0.746  0.999
P  0.000  0.501  0.833
Fe  0.000  0.246  0.501
Fe  0.000  0.627  0.628

Results
As for the symmetry: Pm. Its energy of formation is -0.498 eV per atom. The calculation puts the magnetization at 1.17 μB/atom.